Record 1
## Ho2AlRu (GGA-PBE)

Data for Ho2AlRu after structural relaxation.

The structure in POSCAR format:
```
Ho2AlRu
1.0
0.0000 3.4852 3.4852
3.4852 0.0000 3.4852
3.4852 3.4852 0.0000
Ho Al Ru
2 1 1
direct
0.2500 0.2500 0.2500
0.7500 0.7500 0.7500
0.5000 0.5000 0.5000
0.0000 0.0000 0.0000
```


Record 2
## Na2CaSi2Sn3S4O24 (GGA-PBE)

Data for Na2CaSi2Sn3S4O24 after structural relaxation.

The structure in POSCAR format:
```
Na2CaSi2Sn3S4O24
1.0
-4.8224 -6.2538 -4.1003
8.0476 2.1546 -3.1371
9.9827 -16.2680 13.3658
Na Ca Si Sn S O
6 3 6 9 12 72
direct
0.9668 0.9748 0.5058
0.0433 0.0397 0.9964
0.6695 0.3045 0.8358
0.6593 0.3045 0.3361
0.3379 0.6514 0.1610
0.3766 0.6839 0.6726
0.9773 0.9873 0.6480
0.0136 0.0134 0.1391
0.3492 0.6830 0.3187
0.6933 0.9929 0.7505
0.6627 0.6134 0.5818
0.3848 0.3518 0.0776
0.0383 0.3740 0.9167
0.3239 0.9562 0.9166
0.6392 0.9781 0.4164
0.9901 0.9980 0.3513
0.9993 0.0141 0.8534
0.6666 0.3314 0.6886
0.6561 0.3359 0.1808
0.6577 0.3228 0.9745
0.6677 0.3316 0.4837
0.3217 0.6574 0.0142
0.3582 0.6736 0.5196
0.3284 0.6752 0.8191
0.2993 0.0131 0.2512
0.7122 0.6941 0.2490
0.9849 0.2959 0.2480
0.3006 0.3024 0.7514
0.9986 0.6995 0.7520
0.9723 0.3496 0.5800
0.3764 0.0343 0.5822
0.9564 0.6112 0.0814
0.6520 0.0375 0.0822
0.6275 0.6695 0.9161
0.3280 0.3590 0.4174
0.0378 0.6695 0.4185
0.2166 0.0316 0.3064
0.8121 0.7745 0.3043
0.9609 0.1921 0.3036
0.2228 0.1916 0.8040
0.9813 0.7845 0.8038
0.8175 0.0266 0.8074
0.7566 0.9647 0.6903
0.2048 0.2255 0.6995
0.0246 0.7974 0.6994
0.8018 0.7979 0.1989
0.0004 0.2078 0.1986
0.2021 0.0101 0.2010
0.8885 0.3669 0.6322
0.4868 0.1118 0.6333
0.6374 0.4947 0.6400
0.8839 0.5072 0.1373
0.6352 0.1197 0.1371
0.4876 0.3802 0.1416
0.4985 0.3402 0.0262
0.8583 0.5167 0.0315
0.6836 0.1492 0.0315
0.4620 0.1287 0.5279
0.6702 0.5192 0.5229
0.8632 0.3174 0.5277
0.5514 0.6973 0.9686
0.1551 0.4478 0.9745
0.3026 0.8472 0.9768
0.5515 0.8535 0.4742
0.2939 0.4348 0.4691
0.1417 0.6874 0.4709
0.1094 0.6417 0.3668
0.5374 0.9157 0.3580
0.3497 0.4584 0.3652
0.1269 0.4850 0.8584
0.3698 0.8797 0.8616
0.5196 0.6391 0.8647
0.0274 0.8342 0.4136
0.8343 0.9930 0.4124
0.1757 0.1783 0.4126
0.0076 0.1778 0.9129
0.1429 0.9615 0.9086
0.8007 0.8245 0.9101
0.0110 0.2096 0.5835
0.2100 0.0260 0.5856
0.8275 0.8019 0.5795
0.9618 0.7772 0.0844
0.7976 0.0070 0.0868
0.1977 0.1846 0.0765
0.6740 0.1733 0.7469
0.4809 0.3268 0.7491
0.8352 0.5239 0.7497
0.7065 0.5204 0.2483
0.8176 0.3035 0.2444
0.4778 0.1745 0.2501
0.6499 0.5161 0.9213
0.8517 0.3703 0.9222
0.4906 0.1534 0.9199
0.6710 0.1756 0.4265
0.4854 0.3414 0.4241
0.8567 0.5230 0.4249
0.3812 0.5372 0.0758
0.1353 0.6354 0.0807
0.4856 0.8726 0.0789
0.3534 0.8547 0.5786
0.4744 0.6137 0.5808
0.1350 0.5222 0.5725
0.3175 0.8598 0.2540
0.5352 0.6634 0.2531
0.1323 0.4705 0.2535
0.3181 0.4763 0.7587
0.1476 0.6669 0.7568
0.4991 0.8210 0.7599
```


Record 3
## Na4CaTiSi2SO12 (GGA-PBE)

Data for Na4CaTiSi2SO12 after structural relaxation.

The structure in POSCAR format:
```
Na4CaTiSi2SO12
1.0
-4.5937 -8.2461 0.2255
9.3109 0.1929 -0.9485
1.3488 -0.1386 22.4067
Na Ca Ti Si S O
24 6 6 12 6 72
direct
0.6517 0.0227 0.2535
0.3657 0.3572 0.2461
0.9901 0.6215 0.2407
0.6314 0.6215 0.7407
0.9915 0.3572 0.7461
0.3710 0.0227 0.7535
0.3184 0.3561 0.5868
0.0323 0.6905 0.5794
0.6568 0.9548 0.5740
0.2980 0.9548 0.0740
0.6582 0.6905 0.0794
0.0377 0.3561 0.0868
0.9850 0.6894 0.9202
0.6990 0.0239 0.9127
0.3234 0.2882 0.9074
0.9647 0.2882 0.4074
0.3249 0.0239 0.4127
0.7044 0.6894 0.4202
0.9825 0.9825 0.4966
0.0000 0.9825 0.9966
0.6491 0.3158 0.8300
0.6667 0.3158 0.3300
0.3158 0.6491 0.1633
0.3334 0.6491 0.6633
0.9992 0.0012 0.3484
0.0020 0.0012 0.8484
0.6659 0.3346 0.6818
0.6687 0.3346 0.1818
0.3326 0.6679 0.0151
0.3354 0.6679 0.5151
0.9750 0.0166 0.6476
0.0416 0.0166 0.1476
0.6417 0.3499 0.9810
0.7082 0.3499 0.4810
0.3083 0.6832 0.3143
0.3749 0.6832 0.8143
0.3022 0.9983 0.2535
0.0117 0.3028 0.2527
0.2911 0.3028 0.7527
0.6961 0.9983 0.7535
0.9689 0.3316 0.5868
0.6783 0.6361 0.5861
0.9578 0.6361 0.0861
0.3628 0.3316 0.0868
0.6355 0.6650 0.9201
0.3450 0.9694 0.9194
0.6244 0.9694 0.4194
0.0294 0.6650 0.4201
0.6940 0.7061 0.2487
0.0121 0.7061 0.7487
0.3607 0.0394 0.5820
0.6787 0.0394 0.0820
0.0273 0.3727 0.9153
0.3454 0.3727 0.4153
0.2232 0.0230 0.3124
0.7877 0.7809 0.3048
0.9755 0.1986 0.3109
0.2230 0.1986 0.8109
0.9932 0.7809 0.8048
0.7997 0.0230 0.8124
0.7977 0.9774 0.6929
0.1536 0.1894 0.6940
0.0244 0.8072 0.6970
0.7828 0.8072 0.1970
0.0358 0.1894 0.1940
0.1797 0.9774 0.1929
0.8899 0.3563 0.6458
0.4544 0.1142 0.6381
0.6422 0.5319 0.6442
0.8897 0.5319 0.1442
0.6598 0.1142 0.1381
0.4664 0.3563 0.1458
0.4644 0.3108 0.0262
0.8203 0.5227 0.0274
0.6911 0.1405 0.0304
0.4495 0.1405 0.5304
0.7024 0.5227 0.5274
0.8464 0.3108 0.5262
0.5566 0.6897 0.9791
0.1210 0.4475 0.9714
0.3089 0.8652 0.9776
0.5563 0.8652 0.4776
0.3265 0.4475 0.4714
0.1331 0.6897 0.4791
0.1311 0.6441 0.3596
0.4869 0.8560 0.3607
0.3577 0.4739 0.3637
0.1161 0.4739 0.8637
0.3691 0.8560 0.8607
0.5131 0.6441 0.8596
0.9915 0.8131 0.4140
0.8090 0.0034 0.4113
0.2001 0.2034 0.4113
0.0033 0.2034 0.9113
0.1944 0.0034 0.9113
0.8217 0.8131 0.9140
0.9622 0.1464 0.5877
0.1969 0.0298 0.5843
0.8594 0.8185 0.5916
0.9591 0.8185 0.0916
0.8329 0.0298 0.0843
0.1843 0.1464 0.0877
0.6581 0.1465 0.7473
0.4757 0.3368 0.7447
0.8668 0.5368 0.7447
0.6700 0.5368 0.2447
0.8611 0.3368 0.2447
0.4883 0.1465 0.2473
0.6288 0.4798 0.9210
0.8635 0.3631 0.9176
0.5260 0.1518 0.9249
0.6258 0.1518 0.4249
0.4996 0.3631 0.4176
0.8509 0.4798 0.4210
0.3248 0.4798 0.0806
0.1424 0.6701 0.0780
0.5335 0.8701 0.0780
0.3367 0.8701 0.5780
0.5277 0.6701 0.5780
0.1550 0.4798 0.5806
0.2955 0.8131 0.2543
0.5302 0.6965 0.2509
0.1927 0.4852 0.2582
0.2925 0.4852 0.7582
0.1663 0.6965 0.7509
0.5176 0.8131 0.7543
```


Record 4
## Te2MoW3Se6 (GGA-PBE)

Data for Te2MoW3Se6 after structural relaxation.

Results
The calculation puts the energy relative to the lowest polymorph listed for this composition at 20 meV per atom.

The structure in POSCAR format:
```
Te2MoW3Se6
1.0
-0.0783 0.4654 3.3492
-2.8174 -0.8806 -1.6514
8.4731 -37.1673 5.3632
Te Mo W Se
2 1 3 6
direct
0.0000 0.0000 0.7066
0.0000 0.0000 0.6084
0.0000 0.0000 0.4697
0.0000 0.0000 0.0939
0.3333 0.6667 0.2818
0.3333 0.6667 0.6576
0.0000 0.0000 0.3249
0.3333 0.6667 0.0508
0.3333 0.6667 0.4267
0.3333 0.6667 0.1370
0.3333 0.6667 0.5126
0.0000 0.0000 0.2386
```


| no. | formation energy (eV per atom) |
| --- | --- |
| 1 | -0.3733 |
| 2 | -2.2416 |
| 3 | -2.7227 |
| 4 | -0.6805 |